A geometry-optimized SrYCoO4 structure. Source: the Materials Project database, functional GGA+U.

Unit cell a=3.8169 b=14.6307 c=6.8311 alpha=79.15 beta=106.21 gamma=97.55
Sites, in units of the cell vectors:
Sr (0.6463, 0.4116, 0.8807)
Sr (0.6451, 0.9119, 0.3794)
Sr (0.6481, 0.6604, 0.6331)
Sr (0.6442, 0.1620, 0.1279)
Co (0.9983, 0.2495, 0.7460)
Co (0.9963, 0.4991, 0.4937)
Co (0.9984, 0.7492, 0.2512)
Co (0.0002, 0.0013, 0.9979)
O (0.8386, 0.6943, 0.9772)
O (0.4832, 0.4953, 0.4709)
O (0.4826, 0.2467, 0.7177)
O (0.9954, 0.1270, 0.8635)
O (0.1869, 0.7988, 0.5769)
O (0.1811, 0.2943, 0.0666)
O (0.1842, 0.5455, 0.8241)
O (0.1820, 0.0442, 0.3164)
O (0.8336, 0.2150, 0.4530)
O (0.4859, 0.9958, 0.9750)
O (0.8324, 0.9717, 0.6975)
O (0.8374, 0.4497, 0.2208)
O (0.0010, 0.3752, 0.6265)
O (0.9785, 0.8699, 0.0889)
O (0.9990, 0.6218, 0.3770)
O (0.4860, 0.7478, 0.2263)
Y (0.3544, 0.5937, 0.1248)
Y (0.3565, 0.3391, 0.3735)
Y (0.3620, 0.0872, 0.6278)
Y (0.3628, 0.8420, 0.8860)

- Space group: P1
- Total magnetization: 2.500 μB/f.u.
- Energy relative to the elements: -2.702 eV/atom
- ΔE to the lowest computed polymorph: 0.71 kcal/mol of atoms
- MP2020-corrected energy: -7.710 eV per atom

---

A geometry-optimized MgMo2Cl8O2 structure. Source: the Materials Project database, functional GGA+U.

Unit cell a=6.3603 b=7.9810 c=7.4324 alpha=100.76 beta=98.82 gamma=109.18
Sites, in units of the cell vectors:
Mg (0.5703, 0.1864, 0.7260)
Cl (0.3522, 0.4695, 0.2582)
Cl (0.8110, 0.3076, 0.0536)
Cl (0.6133, 0.5096, 0.7371)
Cl (0.2065, 0.1018, 0.8372)
Cl (0.1838, 0.6957, 0.9214)
Cl (0.6303, 0.9015, 0.6358)
Cl (0.8306, 0.9033, 0.0977)
Cl (0.3409, 0.0924, 0.3849)
O (0.9556, 0.2578, 0.4638)
O (0.9773, 0.7219, 0.5203)
Mo (0.9333, 0.7819, 0.7370)
Mo (0.0549, 0.2135, 0.2685)

- Space group: P1
- Total magnetization: 2.000 μB/f.u.
- Energy relative to the elements: -1.172 eV/atom
- ΔE to the lowest computed polymorph: 1.37 kcal/mol of atoms
- MP2020-corrected energy: -4.863 eV per atom

---

A geometry-optimized Al2FeO4 structure. Source: the Materials Project database, functional GGA+U.

Unit cell a=5.8470 b=5.7964 c=5.8468 alpha=60.36 beta=88.89 gamma=119.64
Sites, in units of the cell vectors:
O (0.2378, 0.9695, 0.2969)
O (0.7622, 0.0306, 0.7031)
O (0.7664, 0.4695, 0.2683)
O (0.2317, 0.9695, 0.7336)
O (0.7683, 0.0305, 0.2664)
O (0.7969, 0.5305, 0.7378)
O (0.2031, 0.4694, 0.2622)
O (0.2336, 0.5305, 0.7317)
Al (0.0000, 0.5000, 0.5000)
Al (0.5000, 0.0000, 0.5000)
Al (0.0000, 0.0000, 0.5000)
Al (0.0000, 0.5000, 0.0000)
Fe (0.6250, 0.7502, 0.1249)
Fe (0.3750, 0.2497, 0.8751)

- Space group: Fddd
- Energy relative to the elements: -2.904 eV/atom
- ΔE to the lowest computed polymorph: 0.00 kcal/mol of atoms
- MP2020-corrected energy: -8.011 eV per atom

---

A geometry-optimized Li3FeO4 structure. Source: the Materials Project database, functional GGA+U.

Unit cell a=5.1774 b=5.1774 c=5.1774 alpha=134.11 beta=134.11 gamma=66.92
Sites, in units of the cell vectors:
O (0.0000, 0.5000, 0.5000)
O (0.7876, 0.7876, 0.0000)
O (0.5000, 0.0000, 0.5000)
O (0.2124, 0.2124, 0.0000)
Li (0.5000, 0.5000, 0.0000)
Li (0.2500, 0.7500, 0.5000)
Li (0.7500, 0.2500, 0.5000)
Fe (0.0000, 0.0000, 0.0000)

- Space group: I4/mmm
- Total magnetization: 2.996 μB/f.u.
- Energy relative to the elements: -1.760 eV/atom
- ΔE to the lowest computed polymorph: 1.03 kcal/mol of atoms
- MP2020-corrected energy: -6.008 eV per atom

---

A geometry-optimized CrH18O9F3 structure. Source: the Materials Project database, functional GGA+U.

Unit cell a=8.3296 b=10.8789 c=13.6283 alpha=66.48 beta=82.80 gamma=90.01
Sites, in units of the cell vectors:
O (0.4928, 0.4885, 0.8585)
O (0.6531, 0.0602, 0.5754)
O (0.1452, 0.1400, 0.6647)
O (0.8456, 0.4372, 0.4271)
O (0.1840, 0.1563, 0.3575)
O (0.2769, 0.5723, 0.9913)
O (0.0053, 0.0124, 0.1433)
O (0.9340, 0.4063, 0.8575)
O (0.3952, 0.8900, 0.1647)
O (0.5957, 0.6873, 0.9270)
O (0.6428, 0.0278, 0.3298)
O (0.2192, 0.9270, 0.0092)
O (0.7191, 0.4269, 0.0093)
O (0.0269, 0.8225, 0.4911)
O (0.4031, 0.3103, 0.0753)
O (0.9691, 0.1769, 0.5094)
O (0.3928, 0.2778, 0.8298)
O (0.5052, 0.5124, 0.1433)
O (0.7553, 0.2624, 0.6434)
O (0.0957, 0.1874, 0.9269)
O (0.8926, 0.7777, 0.8298)
O (0.5269, 0.3223, 0.4913)
O (0.8951, 0.3899, 0.1648)
O (0.9032, 0.8103, 0.0752)
O (0.6452, 0.6399, 0.6648)
O (0.2430, 0.7385, 0.3584)
O (0.1426, 0.5277, 0.3298)
O (0.6843, 0.6562, 0.3574)
O (0.4692, 0.6771, 0.5092)
O (0.3458, 0.9373, 0.4269)
O (0.7428, 0.2384, 0.3586)
O (0.1532, 0.5603, 0.5752)
O (0.2554, 0.7624, 0.6432)
O (0.9929, 0.9885, 0.8584)
O (0.4341, 0.9062, 0.8574)
O (0.7770, 0.0724, 0.9912)
H (0.5332, 0.6660, 0.5703)
H (0.2175, 0.5847, 0.9280)
H (0.2783, 0.0186, 0.4004)
H (0.7309, 0.5771, 0.6588)
H (0.9560, 0.4747, 0.1548)
H (0.7780, 0.5185, 0.4005)
H (0.4537, 0.4469, 0.2165)
H (0.2921, 0.9172, 0.9480)
H (0.9677, 0.8347, 0.4278)
H (0.7997, 0.3040, 0.2867)
H (0.2050, 0.6542, 0.3516)
H (0.2131, 0.2139, 0.8953)
H (0.2241, 0.4810, 0.5988)
H (0.7130, 0.7138, 0.8954)
H (0.7830, 0.4160, 0.0705)
H (0.9790, 0.7115, 0.8367)
H (0.4738, 0.2310, 0.0989)
H (0.0498, 0.0540, 0.7865)
H (0.7970, 0.3471, 0.6476)
H (0.5470, 0.5970, 0.1476)
H (0.9008, 0.4258, 0.7846)
H (0.9538, 0.9469, 0.2164)
H (0.9740, 0.7311, 0.0988)
H (0.7862, 0.7809, 0.1048)
H (0.4548, 0.4041, 0.8517)
H (0.2061, 0.2247, 0.6548)
H (0.6507, 0.6758, 0.2846)
H (0.7239, 0.9810, 0.5989)
H (0.7049, 0.1542, 0.3517)
H (0.2971, 0.8471, 0.6475)
H (0.5362, 0.0307, 0.6049)
H (0.5117, 0.9832, 0.8460)
H (0.0471, 0.0971, 0.1475)
H (0.7037, 0.1968, 0.7166)
H (0.9535, 0.8368, 0.5498)
H (0.7176, 0.0847, 0.9280)
H (0.5497, 0.5540, 0.7866)
H (0.9630, 0.4638, 0.3955)
H (0.0362, 0.5308, 0.6048)
H (0.2831, 0.9160, 0.0705)
H (0.2862, 0.2807, 0.1049)
H (0.0331, 0.1660, 0.5705)
H (0.5280, 0.7685, 0.9005)
H (0.1507, 0.1757, 0.2846)
H (0.1214, 0.5610, 0.2525)
H (0.4790, 0.2114, 0.8368)
H (0.6215, 0.0610, 0.2525)
H (0.4007, 0.9257, 0.7846)
H (0.2998, 0.8040, 0.2865)
H (0.7290, 0.9614, 0.3367)
H (0.7035, 0.0868, 0.0497)
H (0.7061, 0.7247, 0.6548)
H (0.2038, 0.6968, 0.7165)
H (0.4561, 0.9747, 0.1548)
H (0.0117, 0.4833, 0.8460)
H (0.4809, 0.8271, 0.1588)
H (0.7920, 0.4172, 0.9481)
H (0.4534, 0.3368, 0.5498)
H (0.7617, 0.7333, 0.3460)
H (0.2290, 0.4615, 0.3367)
H (0.9549, 0.9042, 0.8517)
H (0.0420, 0.1671, 0.4481)
H (0.2034, 0.5868, 0.0497)
H (0.2617, 0.2332, 0.3461)
H (0.4675, 0.3347, 0.4280)
H (0.3715, 0.3110, 0.7525)
H (0.5422, 0.6672, 0.4482)
H (0.4630, 0.9639, 0.3953)
H (0.2309, 0.0771, 0.6588)
H (0.9808, 0.3270, 0.1588)
H (0.0282, 0.2686, 0.9004)
H (0.8714, 0.8110, 0.7525)
F (0.8619, 0.4704, 0.6630)
F (0.6118, 0.7204, 0.1630)
F (0.3210, 0.3530, 0.6358)
F (0.3617, 0.9703, 0.6630)
F (0.8212, 0.8530, 0.6357)
F (0.8682, 0.8603, 0.3339)
F (0.5711, 0.1030, 0.1358)
F (0.1182, 0.6104, 0.8338)
F (0.6181, 0.1103, 0.8339)
F (0.0710, 0.6030, 0.1358)
F (0.3682, 0.3604, 0.3339)
F (0.1117, 0.2203, 0.1631)
Cr (0.7479, 0.2492, 0.5014)
Cr (0.4981, 0.4994, 0.0012)
Cr (0.2482, 0.7496, 0.5011)
Cr (0.9981, 0.9994, 0.0013)

- Total magnetization: 3.000 μB/f.u.
- Energy relative to the elements: -1.513 eV/atom
- MP2020-corrected energy: -5.416 eV per atom